(1)
Computed, not measured: a relaxed DyAlNi4 crystal at the GGA-PBE level of DFT.

POSCAR file:
```
DyAlNi4
1.0
2.504 -4.215 0.000
2.504 4.215 0.000
0.000 0.000 4.024
Ni Al Dy
4 1 1
direct
0.000 0.500 0.500
0.167 0.833 0.000
0.833 0.167 0.000
0.500 0.000 0.500
0.000 0.000 0.500
0.500 0.500 0.000
```

## Properties
* formation energy: -0.53 eV/atom
* energy: -5.773 eV per atom

(2)
Computed, not measured: a relaxed HfGeIr crystal at the GGA-PBE level of DFT.

POSCAR file:
```
HfGeIr
1.0
-0.360 4.035 -0.036
-3.641 -0.276 5.425
6.242 0.595 4.219
Hf Ir Ge
4 4 4
direct
0.750 0.980 0.685
0.250 0.520 0.185
0.750 0.480 0.815
0.250 0.020 0.315
0.750 0.345 0.435
0.250 0.655 0.565
0.250 0.155 0.935
0.750 0.845 0.065
0.250 0.769 0.881
0.750 0.731 0.381
0.750 0.231 0.119
0.250 0.269 0.619
```

## Properties
* formation energy: -0.84 eV/atom
* energy: -8.647 eV per atom

(3)
Computed, not measured: a relaxed Rb2TaTlF6 crystal at the GGA-PBE level of DFT.

POSCAR file:
```
Rb2TaTlF6
1.0
-2.296 -4.658 4.373
-1.699 1.819 6.316
-6.522 0.036 1.884
F Rb Ta Tl
6 2 1 1
direct
0.785 0.215 0.215
0.785 0.785 0.215
0.785 0.215 0.785
0.215 0.785 0.785
0.215 0.215 0.785
0.215 0.785 0.215
0.250 0.250 0.250
0.750 0.750 0.750
0.000 0.000 0.000
0.500 0.500 0.500
```

## Properties
* magnetic moment: 2.00 μB/cell
* formation energy: -2.70 eV/atom
* energy: -5.194 eV per atom

The highest formation energy belongs to which entry? DyAlNi4